# Li2FeS2O8 (PBE with a Hubbard U, relaxed)
data_Li2FeS2O8
_space_group_name_H-M_alt 'P 1'
_space_group_IT_number 1
_cell_length_a 9.2958
_cell_length_b 9.4015
_cell_length_c 13.8587
_cell_angle_alpha 90.00
_cell_angle_beta 90.00
_cell_angle_gamma 90.00
loop_
_space_group_symop_operation_xyz
'x,y,z'
loop_
_atom_site_label
_atom_site_fract_x
_atom_site_fract_y
_atom_site_fract_z
_atom_site_occupancy
Li1 0.7798 0.9663 0.3740 1
Li2 0.7202 0.9663 0.8740 1
Li3 0.0455 0.7755 0.3727 1
Li4 0.4545 0.7755 0.8727 1
Li5 0.9545 0.7245 0.8727 1
Li6 0.5455 0.7245 0.3727 1
Li7 0.2798 0.5337 0.3740 1
Li8 0.2202 0.5337 0.8740 1
Li9 0.7798 0.4663 0.1260 1
Li10 0.7202 0.4663 0.6260 1
Li11 0.4545 0.2755 0.6273 1
Li12 0.0455 0.2755 0.1273 1
Li13 0.5455 0.2245 0.1273 1
Li14 0.9545 0.2245 0.6273 1
Li15 0.2202 0.0337 0.6260 1
Li16 0.2798 0.0337 0.1260 1
Fe1 0.8969 0.8607 0.1235 1
Fe2 0.6031 0.8607 0.6235 1
Fe3 0.3969 0.6393 0.1235 1
Fe4 0.1031 0.6393 0.6235 1
Fe5 0.8969 0.3607 0.3765 1
Fe6 0.6031 0.3607 0.8765 1
Fe7 0.3969 0.1393 0.3765 1
Fe8 0.1031 0.1393 0.8765 1
S1 0.9302 0.9258 0.7275 1
S2 0.5698 0.9258 0.2275 1
S3 0.3125 0.8392 0.4907 1
S4 0.1875 0.8392 0.9907 1
S5 0.8125 0.6608 0.4907 1
S6 0.6875 0.6608 0.9907 1
S7 0.0698 0.5742 0.2275 1
S8 0.4302 0.5742 0.7275 1
S9 0.5698 0.4258 0.2725 1
S10 0.9302 0.4258 0.7725 1
S11 0.3125 0.3392 0.0093 1
S12 0.1875 0.3392 0.5093 1
S13 0.8125 0.1608 0.0093 1
S14 0.6875 0.1608 0.5093 1
S15 0.4302 0.0742 0.7725 1
S16 0.0698 0.0742 0.2725 1
O1 0.2998 0.9960 0.4766 1
O2 0.2002 0.9960 0.9766 1
O3 0.0024 0.9823 0.3461 1
O4 0.4976 0.9823 0.8461 1
O5 0.5378 0.9747 0.3288 1
O6 0.9622 0.9747 0.8288 1
O7 0.7695 0.9275 0.7218 1
O8 0.7305 0.9275 0.2218 1
O9 0.2686 0.8121 0.0820 1
O10 0.2314 0.8121 0.5820 1
O11 0.0340 0.7952 0.0033 1
O12 0.4660 0.7952 0.5033 1
O13 0.9857 0.7769 0.7215 1
O14 0.5143 0.7769 0.2215 1
O15 0.2551 0.7584 0.4071 1
O16 0.2449 0.7584 0.9071 1
O17 0.7551 0.7416 0.4071 1
O18 0.7449 0.7416 0.9071 1
O19 0.0143 0.7231 0.2215 1
O20 0.4857 0.7231 0.7215 1
O21 0.9660 0.7048 0.5033 1
O22 0.5340 0.7048 0.0033 1
O23 0.7686 0.6879 0.0820 1
O24 0.7314 0.6879 0.5820 1
O25 0.2305 0.5725 0.2218 1
O26 0.2695 0.5725 0.7218 1
O27 0.4622 0.5253 0.8288 1
O28 0.0378 0.5253 0.3288 1
O29 0.5024 0.5177 0.3461 1
O30 0.9976 0.5177 0.8461 1
O31 0.7998 0.5040 0.4766 1
O32 0.7002 0.5040 0.9766 1
O33 0.2998 0.4960 0.0234 1
O34 0.2002 0.4960 0.5234 1
O35 0.4976 0.4823 0.6539 1
O36 0.0024 0.4823 0.1539 1
O37 0.5378 0.4747 0.1712 1
O38 0.9622 0.4747 0.6712 1
O39 0.7305 0.4275 0.2782 1
O40 0.7695 0.4275 0.7782 1
O41 0.2686 0.3121 0.4180 1
O42 0.2314 0.3121 0.9180 1
O43 0.4660 0.2952 0.9967 1
O44 0.0340 0.2952 0.4967 1
O45 0.5143 0.2769 0.2785 1
O46 0.9857 0.2769 0.7785 1
O47 0.2551 0.2584 0.0929 1
O48 0.2449 0.2584 0.5929 1
O49 0.7551 0.2416 0.0929 1
O50 0.7449 0.2416 0.5929 1
O51 0.4857 0.2231 0.7785 1
O52 0.0143 0.2231 0.2785 1
O53 0.5340 0.2048 0.4967 1
O54 0.9660 0.2048 0.9967 1
O55 0.7686 0.1879 0.4180 1
O56 0.7314 0.1879 0.9180 1
O57 0.2695 0.0725 0.7782 1
O58 0.2305 0.0725 0.2782 1
O59 0.4622 0.0253 0.6712 1
O60 0.0378 0.0253 0.1712 1
O61 0.9976 0.0177 0.6539 1
O62 0.5024 0.0177 0.1539 1
O63 0.7998 0.0040 0.0234 1
O64 0.7002 0.0040 0.5234 1
# Formation energy from the elements (meV/atom): -2095
# Magnetization (μB per formula unit): 4.00
# Uncorrected energy (Ry/atom): -0.4502
# Energy relative to the lowest polymorph listed for this composition (meV/atom): 6.0
# E (MP2020) (eV for the cell shown): -699.004

# Li2Fe2S3O12 (PBE with a Hubbard U, relaxed)
data_Li2Fe2S3O12
_space_group_name_H-M_alt 'P 1'
_space_group_IT_number 1
_cell_length_a 8.7514
_cell_length_b 8.8202
_cell_length_c 24.3615
_cell_angle_alpha 90.00
_cell_angle_beta 90.00
_cell_angle_gamma 90.00
loop_
_space_group_symop_operation_xyz
'x,y,z'
loop_
_atom_site_label
_atom_site_fract_x
_atom_site_fract_y
_atom_site_fract_z
_atom_site_occupancy
Li1 0.0370 0.6218 0.2907 1
Li2 0.0370 0.8782 0.7907 1
Li3 0.1434 0.9312 0.0095 1
Li4 0.1434 0.5688 0.5095 1
Li5 0.3566 0.0688 0.5095 1
Li6 0.3566 0.4312 0.0095 1
Li7 0.4630 0.1218 0.2907 1
Li8 0.4630 0.3782 0.7907 1
Li9 0.5370 0.6218 0.2093 1
Li10 0.5370 0.8782 0.7093 1
Li11 0.6434 0.5688 0.9905 1
Li12 0.6434 0.9312 0.4905 1
Li13 0.8566 0.4312 0.4905 1
Li14 0.8566 0.0688 0.9905 1
Li15 0.9630 0.1218 0.2093 1
Li16 0.9630 0.3782 0.7093 1
Fe1 0.0029 0.4009 0.0648 1
Fe2 0.0029 0.0991 0.5648 1
Fe3 0.0013 0.7941 0.1782 1
Fe4 0.0013 0.7059 0.6782 1
Fe5 0.4987 0.2941 0.1782 1
Fe6 0.4987 0.2059 0.6782 1
Fe7 0.4971 0.5991 0.5648 1
Fe8 0.4971 0.9009 0.0648 1
Fe9 0.5029 0.4009 0.4352 1
Fe10 0.5029 0.0991 0.9352 1
Fe11 0.5013 0.7059 0.8218 1
Fe12 0.5013 0.7941 0.3218 1
Fe13 0.9987 0.2941 0.3218 1
Fe14 0.9987 0.2059 0.8218 1
Fe15 0.9971 0.9009 0.4352 1
Fe16 0.9971 0.5991 0.9352 1
S1 0.1439 0.9466 0.2993 1
S2 0.1439 0.5534 0.7993 1
S3 0.1484 0.2533 0.4477 1
S4 0.1484 0.2467 0.9477 1
S5 0.1954 0.0936 0.1163 1
S6 0.1954 0.4064 0.6163 1
S7 0.3046 0.5936 0.1163 1
S8 0.3046 0.9064 0.6163 1
S9 0.3516 0.7533 0.4477 1
S10 0.3516 0.7467 0.9477 1
S11 0.3561 0.4466 0.2993 1
S12 0.3561 0.0534 0.7993 1
S13 0.6439 0.5534 0.7007 1
S14 0.6439 0.9466 0.2007 1
S15 0.6484 0.2533 0.0523 1
S16 0.6484 0.2467 0.5523 1
S17 0.6954 0.0936 0.3837 1
S18 0.6954 0.4064 0.8837 1
S19 0.8046 0.5936 0.3837 1
S20 0.8046 0.9064 0.8837 1
S21 0.8516 0.7533 0.0523 1
S22 0.8516 0.7467 0.5523 1
S23 0.8561 0.4466 0.2007 1
S24 0.8561 0.0534 0.7007 1
O1 0.0644 0.3887 0.4661 1
O2 0.0644 0.1113 0.9661 1
O3 0.0816 0.0937 0.2786 1
O4 0.0816 0.4063 0.7786 1
O5 0.0847 0.1109 0.4753 1
O6 0.0847 0.3891 0.9753 1
O7 0.0888 0.9139 0.3548 1
O8 0.0888 0.5861 0.8548 1
O9 0.0953 0.1917 0.0832 1
O10 0.0953 0.3083 0.5832 1
O11 0.0928 0.8220 0.2617 1
O12 0.0928 0.6780 0.7617 1
O13 0.0987 0.0101 0.1568 1
O14 0.0987 0.4899 0.6568 1
O15 0.1390 0.2326 0.3881 1
O16 0.1390 0.2674 0.8881 1
O17 0.1853 0.4539 0.2980 1
O18 0.1853 0.0461 0.7980 1
O19 0.1879 0.6801 0.1460 1
O20 0.1879 0.8199 0.6460 1
O21 0.1887 0.7644 0.4660 1
O22 0.1887 0.7356 0.9660 1
O23 0.2307 0.0172 0.5777 1
O24 0.2307 0.4828 0.0777 1
O25 0.2693 0.9828 0.0777 1
O26 0.2693 0.5172 0.5777 1
O27 0.3113 0.2356 0.9660 1
O28 0.3113 0.2644 0.4660 1
O29 0.3121 0.1801 0.1460 1
O30 0.3121 0.3199 0.6460 1
O31 0.3147 0.9539 0.2980 1
O32 0.3147 0.5461 0.7980 1
O33 0.3610 0.7326 0.3881 1
O34 0.3610 0.7674 0.8881 1
O35 0.4013 0.5101 0.1568 1
O36 0.4013 0.9899 0.6568 1
O37 0.4072 0.3220 0.2617 1
O38 0.4072 0.1780 0.7617 1
O39 0.4047 0.6917 0.0832 1
O40 0.4047 0.8083 0.5832 1
O41 0.4112 0.0861 0.8548 1
O42 0.4112 0.4139 0.3548 1
O43 0.4153 0.6109 0.4753 1
O44 0.4153 0.8891 0.9753 1
O45 0.4184 0.5937 0.2786 1
O46 0.4184 0.9063 0.7786 1
O47 0.4356 0.6113 0.9661 1
O48 0.4356 0.8887 0.4661 1
O49 0.5644 0.3887 0.0339 1
O50 0.5644 0.1113 0.5339 1
O51 0.5816 0.0937 0.2214 1
O52 0.5816 0.4063 0.7214 1
O53 0.5847 0.1109 0.0247 1
O54 0.5847 0.3891 0.5247 1
O55 0.5888 0.5861 0.6452 1
O56 0.5888 0.9139 0.1452 1
O57 0.5953 0.1917 0.4168 1
O58 0.5953 0.3083 0.9168 1
O59 0.5928 0.8220 0.2383 1
O60 0.5928 0.6780 0.7383 1
O61 0.5987 0.0101 0.3432 1
O62 0.5987 0.4899 0.8432 1
O63 0.6390 0.2326 0.1119 1
O64 0.6390 0.2674 0.6119 1
O65 0.6853 0.4539 0.2020 1
O66 0.6853 0.0461 0.7020 1
O67 0.6879 0.6801 0.3540 1
O68 0.6879 0.8199 0.8540 1
O69 0.6887 0.7644 0.0340 1
O70 0.6887 0.7356 0.5340 1
O71 0.7307 0.4828 0.4223 1
O72 0.7307 0.0172 0.9223 1
O73 0.7693 0.9828 0.4223 1
O74 0.7693 0.5172 0.9223 1
O75 0.8113 0.2644 0.0340 1
O76 0.8113 0.2356 0.5340 1
O77 0.8121 0.1801 0.3540 1
O78 0.8121 0.3199 0.8540 1
O79 0.8147 0.5461 0.7020 1
O80 0.8147 0.9539 0.2020 1
O81 0.8610 0.7326 0.1119 1
O82 0.8610 0.7674 0.6119 1
O83 0.9013 0.5101 0.3432 1
O84 0.9013 0.9899 0.8432 1
O85 0.9072 0.3220 0.2383 1
O86 0.9072 0.1780 0.7383 1
O87 0.9047 0.6917 0.4168 1
O88 0.9047 0.8083 0.9168 1
O89 0.9112 0.4139 0.1452 1
O90 0.9112 0.0861 0.6452 1
O91 0.9153 0.6109 0.0247 1
O92 0.9153 0.8891 0.5247 1
O93 0.9184 0.5937 0.2214 1
O94 0.9184 0.9063 0.7214 1
O95 0.9356 0.6113 0.5339 1
O96 0.9356 0.8887 0.0339 1
# Formation energy from the elements (meV/atom): -2004
# Magnetization (μB per formula unit): 8.00
# Uncorrected energy (Ry/atom): -0.4559
# Energy relative to the lowest polymorph listed for this composition (meV/atom): 13.6
# E (MP2020) (eV for the cell shown): -1044.876

# Li2FeS2O8 (PBE with a Hubbard U, relaxed)
data_Li2FeS2O8
_space_group_name_H-M_alt 'P 1'
_space_group_IT_number 1
_cell_length_a 5.0876
_cell_length_b 8.2971
_cell_length_c 8.9751
_cell_angle_alpha 90.00
_cell_angle_beta 121.91
_cell_angle_gamma 90.00
loop_
_space_group_symop_operation_xyz
'x,y,z'
loop_
_atom_site_label
_atom_site_fract_x
_atom_site_fract_y
_atom_site_fract_z
_atom_site_occupancy
Li1 0.0168 0.8625 0.6009 1
Li2 0.9832 0.3625 0.8991 1
Li3 0.9832 0.1375 0.3991 1
Li4 0.0168 0.6375 0.1009 1
Fe1 0.0000 0.5000 0.5000 1
Fe2 0.0000 0.0000 0.0000 1
S1 0.3322 0.1954 0.8031 1
S2 0.6678 0.6954 0.6969 1
S3 0.6678 0.8046 0.1969 1
S4 0.3322 0.3046 0.3031 1
O1 0.1820 0.0822 0.6540 1
O2 0.8180 0.5822 0.8460 1
O3 0.8180 0.9178 0.3460 1
O4 0.1820 0.4178 0.1540 1
O5 0.2029 0.3617 0.7491 1
O6 0.7971 0.8617 0.7509 1
O7 0.7971 0.6383 0.2509 1
O8 0.2029 0.1383 0.2491 1
O9 0.2779 0.1485 0.9450 1
O10 0.7221 0.6485 0.5550 1
O11 0.7221 0.8515 0.0550 1
O12 0.2779 0.3515 0.4450 1
O13 0.6737 0.1967 0.8770 1
O14 0.3263 0.6967 0.6230 1
O15 0.3263 0.8033 0.1230 1
O16 0.6737 0.3033 0.3770 1
# Formation energy from the elements (meV/atom): -2101
# Magnetization (μB per formula unit): 4.00
# Uncorrected energy (Ry/atom): -0.4506
# Energy relative to the lowest polymorph listed for this composition (meV/atom): 0.0
# E (MP2020) (eV for the cell shown): -174.907